# 1
# LiVP4H4O14

A relaxed LiVP4H4O14 crystal (PBE+U, the Materials Project database).

abc: 7.3207 8.3511 9.7238
angles: 110.60 103.05 102.11
Atoms (fractional coordinates):
Li (0.0155, 0.2591, 0.2653)
Li (0.9845, 0.7409, 0.7347)
V (0.5000, 0.0000, 0.0000)
V (0.5000, 0.5000, 0.5000)
P (0.1057, 0.3795, 0.6178)
P (0.1056, 0.8800, 0.1173)
P (0.3191, 0.3752, 0.1046)
P (0.3208, 0.8754, 0.6053)
P (0.6792, 0.1246, 0.3947)
P (0.6809, 0.6248, 0.8954)
P (0.8944, 0.1200, 0.8827)
P (0.8943, 0.6205, 0.3822)
H (0.2376, 0.6783, 0.1551)
H (0.2421, 0.1789, 0.6553)
H (0.4711, 0.6616, 0.0232)
H (0.4715, 0.1614, 0.5244)
H (0.5285, 0.8386, 0.4756)
H (0.5289, 0.3384, 0.9768)
H (0.7579, 0.8211, 0.3447)
H (0.7624, 0.3217, 0.8449)
O (0.0624, 0.0358, 0.2199)
O (0.0638, 0.5357, 0.7209)
O (0.0948, 0.2566, 0.0287)
O (0.0954, 0.7582, 0.5270)
O (0.1741, 0.7690, 0.2070)
O (0.1792, 0.2705, 0.7074)
O (0.2404, 0.4121, 0.5227)
O (0.2457, 0.9135, 0.0272)
O (0.3511, 0.5490, 0.0842)
O (0.3541, 0.0498, 0.5856)
O (0.3685, 0.3932, 0.2705)
O (0.3679, 0.8908, 0.7698)
O (0.4445, 0.2621, 0.0189)
O (0.4455, 0.7620, 0.5186)
O (0.5545, 0.2380, 0.4814)
O (0.5555, 0.7379, 0.9811)
O (0.6321, 0.1092, 0.2302)
O (0.6315, 0.6068, 0.7295)
O (0.6459, 0.9502, 0.4144)
O (0.6489, 0.4510, 0.9158)
O (0.7543, 0.0865, 0.9728)
O (0.7596, 0.5879, 0.4773)
O (0.8208, 0.7295, 0.2926)
O (0.8259, 0.2310, 0.7930)
O (0.9046, 0.2418, 0.4730)
O (0.9052, 0.7434, 0.9713)
O (0.9362, 0.4643, 0.2791)
O (0.9376, 0.9642, 0.7801)

total moment	0.07	μB/f.u.
calculated volume	10.71	Å³ per atom
energy with MP2020 corrections	-341.1	eV/cell
E above lowest polymorph	0.74	eV/f.u.

***

# 2
# LiVP4H4O14

A relaxed LiVP4H4O14 crystal (PBE+U, the Materials Project database).

abc: 5.1672 9.8808 10.2695
angles: 84.28 80.92 83.08
Atoms (fractional coordinates):
Li (0.2413, 0.2482, 0.2550)
Li (0.7587, 0.7518, 0.7450)
V (0.0000, 0.0000, 0.5000)
V (0.5000, 0.5000, 0.0000)
P (0.0653, 0.4549, 0.7735)
P (0.1827, 0.8151, 0.9220)
P (0.3169, 0.6843, 0.5775)
P (0.4343, 0.0443, 0.7263)
P (0.5657, 0.9557, 0.2737)
P (0.6831, 0.3157, 0.4225)
P (0.8173, 0.1849, 0.0780)
P (0.9347, 0.5451, 0.2265)
H (0.1194, 0.1951, 0.6675)
H (0.2054, 0.6342, 0.3901)
H (0.2959, 0.8669, 0.1084)
H (0.3806, 0.3044, 0.8323)
H (0.6194, 0.6956, 0.1677)
H (0.7041, 0.1331, 0.8916)
H (0.7946, 0.3658, 0.6099)
H (0.8806, 0.8049, 0.3325)
O (0.0240, 0.3411, 0.6935)
O (0.0720, 0.1878, 0.1257)
O (0.1261, 0.8164, 0.5742)
O (0.1289, 0.5870, 0.6801)
O (0.1392, 0.8779, 0.0584)
O (0.1673, 0.4936, 0.1285)
O (0.1864, 0.0937, 0.6497)
O (0.3136, 0.4058, 0.8498)
O (0.3328, 0.0067, 0.3722)
O (0.3618, 0.6230, 0.4405)
O (0.3707, 0.6825, 0.9262)
O (0.3709, 0.9118, 0.8186)
O (0.4292, 0.3121, 0.3745)
O (0.4754, 0.1579, 0.8066)
O (0.5246, 0.8421, 0.1934)
O (0.5708, 0.6879, 0.6255)
O (0.6291, 0.0882, 0.1814)
O (0.6293, 0.3175, 0.0738)
O (0.6382, 0.3770, 0.5595)
O (0.6672, 0.9933, 0.6278)
O (0.6864, 0.5942, 0.1502)
O (0.8136, 0.9063, 0.3503)
O (0.8327, 0.5064, 0.8715)
O (0.8608, 0.1221, 0.9416)
O (0.8711, 0.4130, 0.3199)
O (0.8739, 0.1836, 0.4258)
O (0.9280, 0.8122, 0.8743)
O (0.9760, 0.6589, 0.3065)

total moment	0.02	μB/f.u.
calculated volume	10.67	Å³ per atom
energy with MP2020 corrections	-341.0	eV/cell
E above lowest polymorph	0.75	eV/f.u.

***

# 3
# LiVP2HO8

A relaxed LiVP2HO8 crystal (PBE+U, the Materials Project database).

abc: 7.4807 9.3464 9.3624
angles: 117.49 97.93 97.97
Atoms (fractional coordinates):
Li (0.0000, 0.0000, 0.0000)
Li (0.0037, 0.4992, 0.4986)
Li (0.2099, 0.4122, 0.9098)
Li (0.5000, 0.1315, 0.3708)
V (0.3595, 0.2735, 0.1393)
V (0.3600, 0.7745, 0.6398)
V (0.8540, 0.2669, 0.6416)
V (0.8545, 0.7672, 0.1419)
P (0.0860, 0.5293, 0.2457)
P (0.0888, 0.0265, 0.7446)
P (0.1223, 0.1584, 0.3765)
P (0.1240, 0.6629, 0.8782)
P (0.5909, 0.8737, 0.3990)
P (0.5924, 0.3787, 0.9014)
P (0.6179, 0.5083, 0.5303)
P (0.6197, 0.0046, 0.0301)
H (0.3640, 0.7785, 0.1551)
H (0.3647, 0.2792, 0.6541)
H (0.8493, 0.2609, 0.1333)
H (0.8509, 0.7618, 0.6338)
O (0.0031, 0.9771, 0.2940)
O (0.0036, 0.4770, 0.7934)
O (0.0365, 0.6604, 0.2032)
O (0.0424, 0.1689, 0.7152)
O (0.1656, 0.1858, 0.2322)
O (0.1666, 0.6895, 0.7348)
O (0.1991, 0.1128, 0.9320)
O (0.1996, 0.6127, 0.4298)
O (0.2132, 0.4365, 0.1317)
O (0.2181, 0.9387, 0.6369)
O (0.2936, 0.6676, 0.9913)
O (0.3040, 0.1818, 0.4893)
O (0.4072, 0.3594, 0.7881)
O (0.4168, 0.8707, 0.2850)
O (0.4955, 0.6035, 0.6400)
O (0.4999, 0.1041, 0.1464)
O (0.5003, 0.9232, 0.8497)
O (0.5014, 0.4224, 0.3464)
O (0.5378, 0.3378, 0.0326)
O (0.5376, 0.8342, 0.5299)
O (0.6658, 0.3648, 0.5567)
O (0.6718, 0.8717, 0.0679)
O (0.7011, 0.0609, 0.4833)
O (0.7038, 0.5610, 0.9845)
O (0.7146, 0.2671, 0.8044)
O (0.7165, 0.7647, 0.3066)
O (0.7995, 0.1191, 0.0443)
O (0.8025, 0.6182, 0.5476)
O (0.9132, 0.9119, 0.7328)
O (0.9154, 0.4107, 0.2363)
O (0.9994, 0.2744, 0.4726)
O (0.9992, 0.7771, 0.9710)

total moment	1.00	μB/f.u.
calculated volume	10.76	Å³ per atom
energy with MP2020 corrections	-388.1	eV/cell
E above lowest polymorph	0.08	eV/f.u.

***

# 4
# LiVP4H4O14

A relaxed LiVP4H4O14 crystal (PBE+U, the Materials Project database).

abc: 5.1691 7.4435 13.5464
angles: 91.76 91.77 99.21
Atoms (fractional coordinates):
Li (0.2485, 0.0010, 0.2498)
Li (0.7515, 0.9990, 0.7502)
V (0.0000, 0.0000, 0.0000)
V (0.5000, 0.0000, 0.5000)
P (0.0705, 0.2705, 0.4099)
P (0.1943, 0.7628, 0.8026)
P (0.3059, 0.2371, 0.6972)
P (0.4296, 0.7297, 0.0903)
P (0.5704, 0.2703, 0.9097)
P (0.6941, 0.7629, 0.3028)
P (0.8057, 0.2372, 0.1974)
P (0.9295, 0.7295, 0.5901)
H (0.0358, 0.4754, 0.1297)
H (0.2019, 0.6366, 0.4874)
H (0.2981, 0.3633, 0.0126)
H (0.4642, 0.5246, 0.3704)
H (0.5358, 0.4754, 0.6296)
H (0.7019, 0.6367, 0.9874)
H (0.7981, 0.3634, 0.5126)
H (0.9642, 0.5246, 0.8703)
O (0.0088, 0.7697, 0.7030)
O (0.0261, 0.1848, 0.7195)
O (0.0686, 0.8902, 0.8711)
O (0.1391, 0.5639, 0.8389)
O (0.1937, 0.7558, 0.5288)
O (0.2088, 0.4641, 0.4268)
O (0.2262, 0.1210, 0.4345)
O (0.2740, 0.8792, 0.0655)
O (0.2914, 0.5361, 0.0733)
O (0.3061, 0.2441, 0.9711)
O (0.3610, 0.4361, 0.6611)
O (0.4321, 0.1103, 0.6285)
O (0.4740, 0.8146, 0.7802)
O (0.4912, 0.2301, 0.7969)
O (0.5088, 0.7699, 0.2031)
O (0.5260, 0.1854, 0.2198)
O (0.5679, 0.8897, 0.3715)
O (0.6390, 0.5639, 0.3389)
O (0.6939, 0.7559, 0.0289)
O (0.7086, 0.4639, 0.9267)
O (0.7260, 0.1208, 0.9345)
O (0.7738, 0.8790, 0.5655)
O (0.7912, 0.5359, 0.5732)
O (0.8063, 0.2442, 0.4712)
O (0.8609, 0.4361, 0.1611)
O (0.9314, 0.1098, 0.1289)
O (0.9739, 0.8152, 0.2805)
O (0.9912, 0.2303, 0.2970)

total moment	2.20	μB/f.u.
calculated volume	10.71	Å³ per atom
energy with MP2020 corrections	-341.7	eV/cell
E above lowest polymorph	0.44	eV/f.u.

***

# 5
# LiVP2HO8

A relaxed LiVP2HO8 crystal (PBE+U, the Materials Project database).

abc: 7.7599 7.9920 9.7318
angles: 90.03 111.85 90.09
Atoms (fractional coordinates):
Li (0.0000, 0.0000, 0.0000)
Li (0.0000, 0.0003, 0.4979)
Li (0.5029, 0.7622, 0.4933)
Li (0.7980, 0.5007, 0.0456)
V (0.1482, 0.6222, 0.5250)
V (0.1631, 0.6268, 0.0250)
V (0.6354, 0.1267, 0.0195)
V (0.6412, 0.1414, 0.5234)
P (0.3794, 0.9775, 0.2051)
P (0.3809, 0.9779, 0.7028)
P (0.4176, 0.4760, 0.8383)
P (0.4176, 0.4810, 0.3396)
P (0.8853, 0.7833, 0.2043)
P (0.8876, 0.7863, 0.7052)
P (0.9113, 0.2855, 0.3387)
P (0.9108, 0.2845, 0.8400)
H (0.1385, 0.1398, 0.2841)
H (0.1381, 0.1399, 0.7842)
H (0.6575, 0.6380, 0.2635)
H (0.6590, 0.6365, 0.7633)
O (0.0043, 0.8040, 0.3712)
O (0.0046, 0.8052, 0.8722)
O (0.0056, 0.6860, 0.6337)
O (0.0875, 0.1771, 0.3673)
O (0.0894, 0.1801, 0.8676)
O (0.2009, 0.0691, 0.6781)
O (0.2013, 0.0734, 0.1781)
O (0.2855, 0.4619, 0.1755)
O (0.2872, 0.4599, 0.6745)
O (0.3010, 0.5731, 0.9161)
O (0.3039, 0.5785, 0.4200)
O (0.3337, 0.8027, 0.1334)
O (0.3413, 0.8059, 0.6235)
O (0.4648, 0.3023, 0.9111)
O (0.4654, 0.3051, 0.4070)
O (0.5011, 0.0725, 0.1313)
O (0.5012, 0.0768, 0.6285)
O (0.5045, 0.9610, 0.3714)
O (0.5088, 0.9616, 0.8678)
O (0.5883, 0.5882, 0.3645)
O (0.5971, 0.5706, 0.8628)
O (0.7034, 0.6917, 0.6781)
O (0.7089, 0.6769, 0.1772)
O (0.7883, 0.3032, 0.6754)
O (0.7906, 0.3040, 0.1723)
O (0.8027, 0.1833, 0.4172)
O (0.8038, 0.1801, 0.9195)
O (0.8356, 0.9536, 0.1258)
O (0.8364, 0.9538, 0.6219)
O (0.9616, 0.4550, 0.9183)
O (0.9664, 0.4580, 0.4096)
O (0.9967, 0.6808, 0.1279)

total moment	1.00	μB/f.u.
calculated volume	10.77	Å³ per atom
energy with MP2020 corrections	-388.3	eV/cell
E above lowest polymorph	0.03	eV/f.u.

***

# 6
# LiVP2HO8

A relaxed LiVP2HO8 crystal (PBE+U, the Materials Project database).

abc: 7.4711 7.9448 9.7389
angles: 90.00 104.97 90.00
Atoms (fractional coordinates):
Li (0.1029, 0.0000, 0.0744)
Li (0.3942, 0.2612, 0.6679)
Li (0.6058, 0.7612, 0.3321)
Li (0.8971, 0.5000, 0.9256)
V (0.2482, 0.6375, 0.6239)
V (0.2582, 0.6233, 0.1260)
V (0.7418, 0.1233, 0.8740)
V (0.7518, 0.1375, 0.3761)
P (0.0105, 0.2865, 0.6878)
P (0.0139, 0.2833, 0.1916)
P (0.4798, 0.9784, 0.5557)
P (0.4832, 0.9837, 0.0646)
P (0.5168, 0.4837, 0.9354)
P (0.5202, 0.4784, 0.4443)
P (0.9861, 0.7833, 0.8084)
P (0.9895, 0.7865, 0.3122)
H (0.2352, 0.1384, 0.8569)
H (0.2432, 0.1387, 0.3644)
H (0.7568, 0.6387, 0.6356)
H (0.7648, 0.6384, 0.1431)
O (0.0648, 0.4558, 0.1377)
O (0.0660, 0.4587, 0.6425)
O (0.0941, 0.6815, 0.9423)
O (0.1011, 0.6836, 0.4414)
O (0.1076, 0.8008, 0.2032)
O (0.1089, 0.8056, 0.7054)
O (0.1913, 0.1787, 0.2520)
O (0.1951, 0.1897, 0.7528)
O (0.3013, 0.0704, 0.9944)
O (0.3098, 0.0872, 0.4968)
O (0.3894, 0.4675, 0.0389)
O (0.3923, 0.4583, 0.5464)
O (0.4005, 0.5826, 0.8041)
O (0.4040, 0.5801, 0.3100)
O (0.4320, 0.8041, 0.6030)
O (0.4431, 0.8068, 0.1190)
O (0.5569, 0.3068, 0.8810)
O (0.5680, 0.3041, 0.3970)
O (0.5960, 0.0801, 0.6900)
O (0.5995, 0.0826, 0.1959)
O (0.6077, 0.9583, 0.4536)
O (0.6106, 0.9675, 0.9611)
O (0.6902, 0.5872, 0.5032)
O (0.6987, 0.5704, 0.0056)
O (0.8049, 0.6897, 0.2472)
O (0.8087, 0.6787, 0.7480)
O (0.8911, 0.3056, 0.2946)
O (0.8924, 0.3008, 0.7968)
O (0.8989, 0.1836, 0.5586)
O (0.9059, 0.1815, 0.0577)
O (0.9340, 0.9587, 0.3575)
O (0.9352, 0.9558, 0.8623)

total moment	0.00	μB/f.u.
calculated volume	10.74	Å³ per atom
energy with MP2020 corrections	-387.2	eV/cell
E above lowest polymorph	0.31	eV/f.u.

***

> Which formula does entry 5 have?

LiVP2HO8